{"formula": "InPO4", "functional": "PBE", "state": "relaxed", "cell": [[2.6911, -4.0804, 0.0000], [2.6911, 4.0804, 0.0000], [0.0000, 0.0000, 6.9284]], "species": ["In", "In", "P", "P", "O", "O", "O", "O", "O", "O", "O", "O"], "frac_coords": [[0.0000, 0.0000, 0.0000], [0.0000, 0.0000, 0.5000], [0.3499, 0.6501, 0.7500], [0.6501, 0.3499, 0.2500], [0.2250, 0.2980, 0.7500], [0.2519, 0.7481, 0.5624], [0.2519, 0.7481, 0.9376], [0.2980, 0.2250, 0.2500], [0.7020, 0.7750, 0.7500], [0.7481, 0.2519, 0.0624], [0.7481, 0.2519, 0.4376], [0.7750, 0.7020, 0.2500]], "e_form_mev_per_atom": -2473, "dft_energy_ev_per_atom": -6.675, "crystal_system": "orthorhombic"}